VASP calculation (PBE) on a geometry-optimized InTe14Ir2Br16 structure.

Geometry as CIF:
```
data_InTe14Ir2Br16
_space_group_name_H-M_alt 'P 1'
_space_group_IT_number 1
_cell_length_a 11.496
_cell_length_b 13.265
_cell_length_c 17.862
_cell_angle_alpha 78.68
_cell_angle_beta 85.40
_cell_angle_gamma 66.02
loop_
_space_group_symop_operation_xyz
'x,y,z'
loop_
_atom_site_label
_atom_site_type_symbol
_atom_site_fract_x
_atom_site_fract_y
_atom_site_fract_z
In1 In 0.046 0.426 0.210
In2 In 0.954 0.574 0.790
Te1 Te 0.021 0.267 0.938
Te2 Te 0.065 0.909 0.091
Te3 Te 0.086 0.772 0.918
Te4 Te 0.169 0.069 0.130
Te5 Te 0.200 0.542 0.593
Te6 Te 0.256 0.067 0.979
Te7 Te 0.267 0.859 0.423
Te8 Te 0.268 0.934 0.808
Te9 Te 0.324 0.678 0.618
Te10 Te 0.355 0.528 0.449
Te11 Te 0.397 0.756 0.985
Te12 Te 0.421 0.338 0.647
Te13 Te 0.447 0.198 0.480
Te14 Te 0.490 0.524 0.296
Te15 Te 0.510 0.476 0.704
Te16 Te 0.553 0.802 0.520
Te17 Te 0.579 0.662 0.353
Te18 Te 0.603 0.244 0.015
Te19 Te 0.645 0.472 0.551
Te20 Te 0.676 0.322 0.382
Te21 Te 0.732 0.066 0.192
Te22 Te 0.733 0.141 0.577
Te23 Te 0.744 0.933 0.021
Te24 Te 0.800 0.458 0.407
Te25 Te 0.831 0.931 0.870
Te26 Te 0.914 0.228 0.082
Te27 Te 0.935 0.091 0.909
Te28 Te 0.979 0.733 0.062
Ir1 Ir 0.171 0.920 0.948
Ir2 Ir 0.453 0.670 0.485
Ir3 Ir 0.547 0.330 0.515
Ir4 Ir 0.829 0.080 0.052
Br1 Br 0.071 0.820 0.492
Br2 Br 0.076 0.929 0.736
Br3 Br 0.092 0.243 0.303
Br4 Br 0.100 0.563 0.267
Br5 Br 0.160 0.391 0.083
Br6 Br 0.192 0.477 0.822
Br7 Br 0.194 0.154 0.775
Br8 Br 0.204 0.317 0.519
Br9 Br 0.242 0.795 0.294
Br10 Br 0.296 0.956 0.550
Br11 Br 0.319 0.605 0.065
Br12 Br 0.383 0.684 0.843
Br13 Br 0.418 0.276 0.333
Br14 Br 0.447 0.817 0.109
Br15 Br 0.469 0.934 0.361
Br16 Br 0.495 0.100 0.120
Br17 Br 0.505 0.900 0.880
Br18 Br 0.531 0.066 0.639
Br19 Br 0.553 0.183 0.891
Br20 Br 0.582 0.724 0.667
Br21 Br 0.617 0.316 0.157
Br22 Br 0.681 0.395 0.935
Br23 Br 0.704 0.044 0.450
Br24 Br 0.758 0.205 0.706
Br25 Br 0.796 0.683 0.481
Br26 Br 0.806 0.846 0.225
Br27 Br 0.808 0.523 0.178
Br28 Br 0.840 0.609 0.917
Br29 Br 0.900 0.437 0.733
Br30 Br 0.908 0.757 0.697
Br31 Br 0.924 0.071 0.264
Br32 Br 0.929 0.180 0.508
```

Output
Calculated volume: 1220 Å³/f.u.
Magnetization: 0.0 μB per cell
E_tot: -205.729 eV per cell
ΔE_f: -14.523 kcal/mol of atoms

***

VASP calculation (PBE) on a geometry-optimized K2NaInBr6 structure.

Geometry as CIF:
```
data_K2NaInBr6
_space_group_name_H-M_alt 'P 1'
_space_group_IT_number 1
_cell_length_a 7.916
_cell_length_b 7.916
_cell_length_c 7.916
_cell_angle_alpha 60.00
_cell_angle_beta 60.00
_cell_angle_gamma 60.00
loop_
_space_group_symop_operation_xyz
'x,y,z'
loop_
_atom_site_label
_atom_site_type_symbol
_atom_site_fract_x
_atom_site_fract_y
_atom_site_fract_z
K1 K 0.250 0.250 0.250
K2 K 0.750 0.750 0.750
Na1 Na 0.000 0.000 0.000
In1 In 0.500 0.500 0.500
Br1 Br 0.259 0.259 0.741
Br2 Br 0.259 0.741 0.259
Br3 Br 0.259 0.741 0.741
Br4 Br 0.741 0.259 0.259
Br5 Br 0.741 0.259 0.741
Br6 Br 0.741 0.741 0.259
```

Output
Calculated volume: 351 Å³/f.u.
Magnetization: 0.0 μB per cell
E_tot: -29.334 eV per cell
ΔE_f: -37.869 kcal/mol of atoms

***

VASP calculation (PBE) on a geometry-optimized K2InBr5O structure.

Geometry as CIF:
```
data_K2InBr5O
_space_group_name_H-M_alt 'P 1'
_space_group_IT_number 1
_cell_length_a 13.275
_cell_length_b 10.764
_cell_length_c 8.352
_cell_angle_alpha 90.00
_cell_angle_beta 90.00
_cell_angle_gamma 90.00
loop_
_space_group_symop_operation_xyz
'x,y,z'
loop_
_atom_site_label
_atom_site_type_symbol
_atom_site_fract_x
_atom_site_fract_y
_atom_site_fract_z
K1 K 0.146 0.013 0.139
K2 K 0.146 0.487 0.139
K3 K 0.354 0.513 0.639
K4 K 0.354 0.987 0.639
K5 K 0.646 0.013 0.361
K6 K 0.646 0.487 0.361
K7 K 0.854 0.513 0.861
K8 K 0.854 0.987 0.861
In1 In 0.103 0.250 0.726
In2 In 0.397 0.750 0.226
In3 In 0.603 0.250 0.774
In4 In 0.897 0.750 0.274
Br1 Br 0.014 0.750 0.016
Br2 Br 0.097 0.003 0.701
Br3 Br 0.097 0.497 0.701
Br4 Br 0.198 0.250 0.396
Br5 Br 0.222 0.750 0.377
Br6 Br 0.278 0.250 0.877
Br7 Br 0.302 0.750 0.896
Br8 Br 0.403 0.503 0.201
Br9 Br 0.403 0.997 0.201
Br10 Br 0.486 0.250 0.516
Br11 Br 0.514 0.750 0.484
Br12 Br 0.597 0.003 0.799
Br13 Br 0.597 0.497 0.799
Br14 Br 0.698 0.250 0.104
Br15 Br 0.722 0.750 0.123
Br16 Br 0.778 0.250 0.623
Br17 Br 0.802 0.750 0.604
Br18 Br 0.903 0.503 0.299
Br19 Br 0.903 0.997 0.299
Br20 Br 0.986 0.250 0.984
O1 O 0.025 0.250 0.501
O2 O 0.475 0.750 0.001
O3 O 0.525 0.250 0.999
O4 O 0.975 0.750 0.499
```

Output
Calculated volume: 298 Å³/f.u.
Magnetization: 0.0 μB per cell
E_tot: -106.003 eV per cell
ΔE_f: -23.272 kcal/mol of atoms

***

VASP calculation (PBE) on a geometry-optimized K2TlInBr6 structure.

Geometry as CIF:
```
data_K2TlInBr6
_space_group_name_H-M_alt 'P 1'
_space_group_IT_number 1
_cell_length_a 8.260
_cell_length_b 8.260
_cell_length_c 8.260
_cell_angle_alpha 60.00
_cell_angle_beta 60.00
_cell_angle_gamma 60.00
loop_
_space_group_symop_operation_xyz
'x,y,z'
loop_
_atom_site_label
_atom_site_type_symbol
_atom_site_fract_x
_atom_site_fract_y
_atom_site_fract_z
K1 K 0.250 0.250 0.250
K2 K 0.750 0.750 0.750
Tl1 Tl 0.000 0.000 0.000
In1 In 0.500 0.500 0.500
Br1 Br 0.268 0.268 0.732
Br2 Br 0.268 0.732 0.268
Br3 Br 0.268 0.732 0.732
Br4 Br 0.732 0.268 0.268
Br5 Br 0.732 0.268 0.732
Br6 Br 0.732 0.732 0.268
```

Output
Calculated volume: 399 Å³/f.u.
Magnetization: 0.0 μB per cell
E_tot: -28.799 eV per cell
ΔE_f: -34.236 kcal/mol of atoms

***

VASP calculation (PBE) on a geometry-optimized Li3InBr6 structure.

Geometry as CIF:
```
data_Li3InBr6
_space_group_name_H-M_alt 'P 1'
_space_group_IT_number 1
_cell_length_a 6.938
_cell_length_b 6.938
_cell_length_c 12.715
_cell_angle_alpha 90.00
_cell_angle_beta 90.00
_cell_angle_gamma 120.00
loop_
_space_group_symop_operation_xyz
'x,y,z'
loop_
_atom_site_label
_atom_site_type_symbol
_atom_site_fract_x
_atom_site_fract_y
_atom_site_fract_z
Li1 Li 0.000 0.000 0.250
Li2 Li 0.000 0.000 0.750
Li3 Li 0.333 0.667 0.040
Li4 Li 0.333 0.667 0.460
Li5 Li 0.667 0.333 0.540
Li6 Li 0.667 0.333 0.960
In1 In 0.333 0.667 0.750
In2 In 0.667 0.333 0.250
Br1 Br 0.027 0.344 0.877
Br2 Br 0.027 0.683 0.623
Br3 Br 0.317 0.344 0.623
Br4 Br 0.317 0.973 0.877
Br5 Br 0.344 0.027 0.377
Br6 Br 0.344 0.317 0.123
Br7 Br 0.656 0.683 0.877
Br8 Br 0.656 0.973 0.623
Br9 Br 0.683 0.027 0.123
Br10 Br 0.683 0.656 0.377
Br11 Br 0.973 0.317 0.377
Br12 Br 0.973 0.656 0.123
```

Output
Energy above the lowest structure with this stoichiometry: 15 meV/atom
Calculated volume: 265 Å³/f.u.
Magnetization: 0.0 μB per cell
E_tot: -61.466 eV per cell
ΔE_f: -36.060 kcal/mol of atoms

***

VASP calculation (PBE) on a geometry-optimized Li3InBr6 structure.

Geometry as CIF:
```
data_Li3InBr6
_space_group_name_H-M_alt 'P 1'
_space_group_IT_number 1
_cell_length_a 6.839
_cell_length_b 6.839
_cell_length_c 13.278
_cell_angle_alpha 95.15
_cell_angle_beta 95.15
_cell_angle_gamma 119.79
loop_
_space_group_symop_operation_xyz
'x,y,z'
loop_
_atom_site_label
_atom_site_type_symbol
_atom_site_fract_x
_atom_site_fract_y
_atom_site_fract_z
Li1 Li 0.093 0.907 0.750
Li2 Li 0.161 0.321 0.000
Li3 Li 0.321 0.161 0.500
Li4 Li 0.679 0.839 0.500
Li5 Li 0.839 0.679 0.000
Li6 Li 0.907 0.093 0.250
In1 In 0.000 0.500 0.500
In2 In 0.500 0.000 0.000
Br1 Br 0.040 0.209 0.619
Br2 Br 0.132 0.639 0.882
Br3 Br 0.209 0.040 0.119
Br4 Br 0.278 0.449 0.381
Br5 Br 0.361 0.868 0.618
Br6 Br 0.449 0.278 0.881
Br7 Br 0.551 0.722 0.119
Br8 Br 0.639 0.132 0.382
Br9 Br 0.722 0.551 0.619
Br10 Br 0.791 0.960 0.881
Br11 Br 0.868 0.361 0.118
Br12 Br 0.960 0.791 0.381
```

Output
Energy above the lowest structure with this stoichiometry: 0 meV/atom
Calculated volume: 265 Å³/f.u.
E_tot: -61.759 eV per cell
ΔE_f: -36.398 kcal/mol of atoms

***

VASP calculation (PBE) on a geometry-optimized MnInBr3 structure.

Geometry as CIF:
```
data_MnInBr3
_space_group_name_H-M_alt 'P 1'
_space_group_IT_number 1
_cell_length_a 9.585
_cell_length_b 4.017
_cell_length_c 15.500
_cell_angle_alpha 90.00
_cell_angle_beta 90.00
_cell_angle_gamma 90.00
loop_
_space_group_symop_operation_xyz
'x,y,z'
loop_
_atom_site_label
_atom_site_type_symbol
_atom_site_fract_x
_atom_site_fract_y
_atom_site_fract_z
Mn1 Mn 0.163 0.250 0.055
Mn2 Mn 0.337 0.750 0.555
Mn3 Mn 0.663 0.250 0.445
Mn4 Mn 0.837 0.750 0.945
In1 In 0.041 0.750 0.324
In2 In 0.459 0.250 0.824
In3 In 0.541 0.750 0.176
In4 In 0.959 0.250 0.676
Br1 Br 0.020 0.250 0.900
Br2 Br 0.175 0.250 0.496
Br3 Br 0.223 0.750 0.707
Br4 Br 0.277 0.250 0.207
Br5 Br 0.325 0.750 0.996
Br6 Br 0.480 0.750 0.400
Br7 Br 0.520 0.250 0.600
Br8 Br 0.675 0.250 0.004
Br9 Br 0.723 0.750 0.793
Br10 Br 0.777 0.250 0.293
Br11 Br 0.825 0.750 0.504
Br12 Br 0.980 0.750 0.100
```

Output
Calculated volume: 149 Å³/f.u.
E_tot: -82.345 eV per cell
ΔE_f: -24.738 kcal/mol of atoms